No. 1
Density functional theory data (PBE+U) for an optimized crystal structure of K2Co2S3O12.

Lattice parameters (Å, degrees): 10.0685 10.0685 10.0685 90.00 90.00 90.00
Atoms (fractional coordinates):
1 K 0.6846 0.1846 0.3154
2 K 0.3154 0.6846 0.1846
3 K 0.9494 0.5506 0.4494
4 K 0.1846 0.3154 0.6846
5 K 0.0506 0.0506 0.0506
6 K 0.4494 0.9494 0.5506
7 K 0.5506 0.4494 0.9494
8 K 0.8154 0.8154 0.8154
9 Co 0.3347 0.3347 0.3347
10 Co 0.1653 0.6653 0.8347
11 Co 0.8347 0.1653 0.6653
12 Co 0.6653 0.8347 0.1653
13 Co 0.5930 0.5930 0.5930
14 Co 0.0930 0.9070 0.4070
15 Co 0.4070 0.0930 0.9070
16 Co 0.9070 0.4070 0.0930
17 S 0.2810 0.6234 0.5192
18 S 0.7810 0.8766 0.4808
19 S 0.7190 0.1234 0.9808
20 S 0.8766 0.4808 0.7810
21 S 0.9808 0.7190 0.1234
22 S 0.4808 0.7810 0.8766
23 S 0.6234 0.5192 0.2810
24 S 0.5192 0.2810 0.6234
25 S 0.1234 0.9808 0.7190
26 S 0.2190 0.3766 0.0192
27 S 0.0192 0.2190 0.3766
28 S 0.3766 0.0192 0.2190
29 O 0.2521 0.5945 0.6606
30 O 0.7521 0.9055 0.3394
31 O 0.7479 0.0945 0.8394
32 O 0.9055 0.3394 0.7521
33 O 0.8394 0.7479 0.0945
34 O 0.3394 0.7521 0.9055
35 O 0.5945 0.6606 0.2521
36 O 0.6606 0.2521 0.5945
37 O 0.0945 0.8394 0.7479
38 O 0.4055 0.1606 0.2479
39 O 0.1606 0.2479 0.4055
40 O 0.2479 0.4055 0.1606
41 O 0.2594 0.4992 0.4419
42 O 0.7594 0.0008 0.5581
43 O 0.7406 0.9992 0.0581
44 O 0.0008 0.5581 0.7594
45 O 0.0581 0.7406 0.9992
46 O 0.5581 0.7594 0.0008
47 O 0.9961 0.5790 0.1712
48 O 0.4419 0.2594 0.4992
49 O 0.9992 0.0581 0.7406
50 O 0.5008 0.9419 0.2406
51 O 0.9419 0.2406 0.5008
52 O 0.2406 0.5008 0.9419
53 O 0.4210 0.6712 0.5039
54 O 0.9210 0.8288 0.4961
55 O 0.5790 0.1712 0.9961
56 O 0.8288 0.4961 0.9210
57 O 0.3101 0.2750 0.9634
58 O 0.9634 0.3101 0.2750
59 O 0.2750 0.9634 0.3101
60 O 0.2250 0.0366 0.8101
61 O 0.4634 0.1899 0.7250
62 O 0.7250 0.4634 0.1899
63 O 0.5366 0.6899 0.7750
64 O 0.0366 0.8101 0.2250
65 O 0.7750 0.5366 0.6899
66 O 0.8101 0.2250 0.0366
67 O 0.6899 0.7750 0.5366
68 O 0.1899 0.7250 0.4634
69 O 0.0790 0.3288 0.0039
70 O 0.0039 0.0790 0.3288
71 O 0.3288 0.0039 0.0790
72 O 0.1712 0.9961 0.5790
73 O 0.5039 0.4210 0.6712
74 O 0.6712 0.5039 0.4210
75 O 0.4961 0.9210 0.8288
76 O 0.4992 0.4419 0.2594

Values from the calculation:
- Formation enthalpy at 0 K: -1.94 eV per atom
- SG: P2_13 (198)
- Total magnetic moment: 6.0 μB per formula unit
- V: 13.4 Å³/atom
- Total energy after the MP2020 corrections: -6.59 eV/atom

No. 2
Density functional theory data (PBE+U) for an optimized crystal structure of K2CoSe2O6.

Lattice parameters (Å, degrees): 5.5996 7.0786 9.0443 72.87 89.69 89.26
Atoms (fractional coordinates):
1 K 0.9998 0.6109 0.8054
2 K 0.4998 0.1109 0.3054
3 K 0.0002 0.3891 0.1946
4 K 0.5002 0.8891 0.6946
5 Co 0.5000 0.5000 0.5000
6 Co 0.0000 0.0000 0.0000
7 Se 0.9995 0.2626 0.6315
8 Se 0.4995 0.7626 0.1315
9 Se 0.0005 0.7374 0.3685
10 Se 0.5005 0.2374 0.8685
11 O 0.2443 0.7313 0.4877
12 O 0.7443 0.2313 0.9877
13 O 0.7558 0.2687 0.5123
14 O 0.2557 0.7687 0.0123
15 O 0.2414 0.2658 0.5113
16 O 0.7414 0.7658 0.0113
17 O 0.7586 0.7342 0.4887
18 O 0.2586 0.2342 0.9887
19 O 0.0008 0.9766 0.2457
20 O 0.5008 0.4766 0.7457
21 O 0.9992 0.0234 0.7543
22 O 0.4992 0.5234 0.2543

Values from the calculation:
- Formation enthalpy at 0 K: -1.61 eV per atom
- Total magnetic moment: 0.0 μB per formula unit
- V: 15.6 Å³/atom
- Total energy after the MP2020 corrections: -5.80 eV/atom

Q: Among the records above, which one has the highest V?
A: K2CoSe2O6

Q: Number 1 is which compound?
A: K2Co2S3O12

Q: Look up the formation enthalpy at 0 K of the second one.
A: -1.61 eV per atom

Q: Look up the V of the first one.
A: 13.4 Å³/atom